# 1
! Ba3SiI2 meta-GGA r2SCAN optimized geometry; values from VASP
! crystal system = orthorhombic
! total moment = 0.000 μB/f.u.
! DFT total energy = -145.13 eV/f.u.
! space-group type = No. 70
! formation enthalpy at 0 K = -1.289 eV/atom
&SYSTEM
  ibrav = 0, nat = 24, ntyp = 3
/
ATOMIC_SPECIES
Ba 137.33 Ba.upf
Si 28.09 Si.upf
I 126.90 I.upf
CELL_PARAMETERS angstrom
0.0000 7.1098 14.9272
5.0859 0.0000 14.9272
5.0859 7.1098 0.0000
ATOMIC_POSITIONS angstrom
Ba 3.6508 1.5040 8.4735
Ba 6.7839 5.3323 11.1954
Ba 3.9780 1.5040 13.9173
Ba 6.5209 5.0589 15.9371
Ba 9.3269 8.8872 18.6590
Ba 6.1938 5.0589 21.3809
Ba 3.9780 9.1606 8.4735
Ba 0.8449 5.3323 11.1954
Ba 3.6508 9.1606 13.9173
Ba 6.1938 12.7155 15.9371
Ba 3.3878 8.8872 18.6590
Ba 6.5209 12.7155 21.3809
Si 1.2715 1.7774 1.2196
Si 1.2715 1.7774 6.2439
Si 8.9003 12.4421 23.6104
Si 8.9003 12.4421 28.6347
I 3.8144 5.3323 3.8461
I 3.8144 5.3323 8.8866
I 6.3573 8.8872 11.3097
I 3.8144 5.3323 13.5042
I 6.3573 8.8872 16.3502
I 3.8144 5.3323 18.5446
I 6.3573 8.8872 20.9677
I 6.3573 8.8872 26.0082

***

# 2
! BaSr2I6 meta-GGA r2SCAN optimized geometry; values from VASP
! crystal system = tetragonal
! total moment = 0.000 μB/f.u.
! DFT total energy = -221.58 eV/f.u.
! space-group type = No. 136
! formation enthalpy at 0 K = -1.937 eV/atom
! ΔE to the lowest computed polymorph = 23 meV per atom
&SYSTEM
  ibrav = 0, nat = 18, ntyp = 3
/
ATOMIC_SPECIES
Ba 137.33 Ba.upf
Sr 87.62 Sr.upf
I 126.90 I.upf
CELL_PARAMETERS angstrom
7.8474 0.0000 0.0000
0.0000 7.8474 0.0000
0.0000 0.0000 15.2250
ATOMIC_POSITIONS angstrom
Ba 0.0000 0.0000 0.0000
Ba 3.9237 3.9237 7.6125
Sr 0.0000 0.0000 5.0644
Sr 0.0000 0.0000 10.1606
Sr 3.9237 3.9237 2.5481
Sr 3.9237 3.9237 12.6769
I 1.4837 1.4837 7.6125
I 1.5827 1.5827 2.6420
I 1.5827 1.5827 12.5830
I 2.3410 5.5064 4.9705
I 2.3410 5.5064 10.2545
I 2.4400 5.4074 0.0000
I 5.4074 2.4400 0.0000
I 5.5064 2.3410 4.9705
I 5.5064 2.3410 10.2545
I 6.2647 6.2647 2.6420
I 6.2647 6.2647 12.5830
I 6.3637 6.3637 7.6125

***

# 3
! BaSr2I6 meta-GGA r2SCAN optimized geometry; values from VASP
! crystal system = monoclinic
! total moment = 0.000 μB/f.u.
! DFT total energy = -221.78 eV/f.u.
! space-group type = No. 15
! formation enthalpy at 0 K = -1.960 eV/atom
! ΔE to the lowest computed polymorph = 0 meV per atom
&SYSTEM
  ibrav = 0, nat = 18, ntyp = 3
/
ATOMIC_SPECIES
Ba 137.33 Ba.upf
Sr 87.62 Sr.upf
I 126.90 I.upf
CELL_PARAMETERS angstrom
9.2054 -4.1872 0.0000
9.2054 4.1872 0.0000
-4.8896 0.0000 10.9777
ATOMIC_POSITIONS angstrom
Ba 5.5382 3.7806 8.2333
Ba 7.9830 -3.7806 2.7444
Sr 4.7319 0.4650 4.0641
Sr 2.2871 -0.4650 9.5529
Sr 11.2342 0.4650 1.4247
Sr 8.7893 -0.4650 6.9136
I -0.5003 1.1128 8.8878
I 8.6142 2.1494 0.1220
I 3.4927 1.2064 6.9947
I 7.3518 2.1494 5.3668
I 1.9446 -1.1128 3.3990
I 7.5838 1.2064 9.4718
I 5.9375 -1.2064 1.5058
I 11.5767 1.1128 7.5787
I 6.1694 -2.1494 5.6108
I 10.0286 -1.2064 3.9830
I 4.9070 -2.1494 10.8557
I 14.0215 -1.1128 2.0899